Y2CoGe6: relaxed, PBE.

Output
For the uncorrected energy, the calculation gives -5.789 eV/atom.

Unit cell a=4.079 b=4.007 c=21.503 alpha=90.00 beta=90.00 gamma=90.00
Space group Amm2 (No. 38)
Inequivalent atoms, fractional coordinates:
Y (0.000, 0.000, 0.000) (multiplicity 2)
Y (0.000, 0.000, 0.337) (multiplicity 2)
Co (0.500, 0.000, 0.559) (multiplicity 2)
Ge (0.000, 0.000, 0.614) (multiplicity 2)
Ge (0.000, 0.000, 0.730) (multiplicity 2)
Ge (0.500, 0.000, 0.115) (multiplicity 2)
Ge (0.500, 0.000, 0.232) (multiplicity 2)
Ge (0.500, 0.000, 0.453) (multiplicity 2)
Ge (0.500, 0.000, 0.878) (multiplicity 2)